No. 1
Compound: Re3Se4Br
Source: the Materials Project database
Functional: PBE-GGA
Structure: optimized geometry

Cell and atoms, written as POSCAR:
```
Re3Se4Br
1.0
12.092 0.000 0.000
0.000 6.706 0.000
0.000 4.785 10.309
Se Re Br
16 12 4
direct
0.674 0.644 0.656
0.326 0.356 0.344
0.174 0.356 0.844
0.409 0.699 0.772
0.559 0.735 0.334
0.285 0.769 0.472
0.941 0.735 0.834
0.091 0.699 0.272
0.215 0.769 0.972
0.826 0.644 0.156
0.715 0.231 0.528
0.785 0.231 0.028
0.591 0.301 0.228
0.059 0.265 0.166
0.909 0.301 0.728
0.441 0.265 0.666
0.141 0.029 0.061
0.565 0.964 0.658
0.435 0.036 0.342
0.859 0.971 0.939
0.980 0.303 0.937
0.065 0.036 0.842
0.520 0.303 0.437
0.641 0.971 0.439
0.359 0.029 0.561
0.480 0.697 0.563
0.020 0.697 0.063
0.935 0.964 0.158
0.852 0.904 0.387
0.648 0.904 0.887
0.148 0.096 0.613
0.352 0.096 0.113
```

Calculated values
The total energy after the MP2020 corrections is -7.142 eV per atom.

***

No. 2
Compound: Ba7B4S13
Source: the Materials Project database
Functional: PBE-GGA
Structure: optimized geometry

Cell and atoms, written as POSCAR:
```
Ba7B4S13
1.0
12.143 5.148 0.000
-12.143 5.148 0.000
0.000 0.009 10.287
Ba S B
14 26 8
direct
0.895 0.546 0.144
0.066 0.722 0.530
0.454 0.105 0.356
0.278 0.934 0.970
0.502 0.498 0.250
0.498 0.502 0.750
0.008 0.992 0.250
0.331 0.669 0.250
0.722 0.066 0.030
0.934 0.278 0.470
0.105 0.454 0.856
0.992 0.008 0.750
0.546 0.895 0.644
0.669 0.331 0.750
0.625 0.460 0.002
0.835 0.681 0.707
0.204 0.796 0.250
0.999 0.376 0.152
0.824 0.976 0.484
0.595 0.208 0.061
0.540 0.375 0.498
0.165 0.319 0.293
0.976 0.824 0.984
0.024 0.176 0.016
0.460 0.625 0.502
0.796 0.204 0.750
0.681 0.835 0.207
0.792 0.405 0.439
0.376 0.999 0.652
0.813 0.651 0.353
0.405 0.792 0.939
0.349 0.187 0.147
0.176 0.024 0.516
0.208 0.595 0.561
0.375 0.540 0.998
0.624 0.001 0.348
0.651 0.813 0.853
0.319 0.165 0.793
0.187 0.349 0.647
0.001 0.624 0.848
0.068 0.292 0.150
0.292 0.068 0.650
0.284 0.518 0.568
0.716 0.482 0.432
0.518 0.284 0.068
0.708 0.932 0.350
0.932 0.708 0.850
0.482 0.716 0.932
```

Calculated values
The total energy after the MP2020 corrections is -5.673 eV per atom.

***

No. 3
Compound: NbPO5
Source: the Materials Project database
Functional: PBE-GGA
Structure: optimized geometry

Cell and atoms, written as POSCAR:
```
NbPO5
1.0
5.441 0.000 0.000
0.000 6.812 0.000
0.000 0.000 11.473
Nb O P
4 20 4
direct
0.250 0.169 0.937
0.750 0.669 0.563
0.250 0.331 0.437
0.750 0.831 0.063
0.750 0.970 0.216
0.483 0.646 0.128
0.750 0.836 0.419
0.250 0.470 0.284
0.517 0.354 0.872
0.500 0.500 0.500
0.000 0.500 0.500
0.983 0.354 0.872
0.017 0.646 0.128
0.983 0.146 0.372
0.500 0.000 0.000
0.250 0.030 0.784
0.250 0.336 0.081
0.000 0.000 0.000
0.250 0.164 0.581
0.483 0.854 0.628
0.017 0.854 0.628
0.750 0.530 0.716
0.517 0.146 0.372
0.750 0.664 0.919
0.750 0.028 0.346
0.250 0.972 0.654
0.250 0.528 0.154
0.750 0.472 0.846
```

Calculated values
The energy above the most stable polymorph in this dataset is 0 meV per atom. The total energy after the MP2020 corrections is -8.681 eV per atom.

***

No. 4
Compound: Mg14FeSb
Source: the Materials Project database
Functional: PBE-GGA
Structure: optimized geometry

Cell and atoms, written as POSCAR:
```
Mg14FeSb
1.0
-4.547 -2.898 -3.159
0.954 -1.301 6.078
-6.453 7.314 2.579
Mg Sb Fe
14 1 1
direct
0.831 0.665 0.380
0.167 0.334 0.625
0.328 0.655 0.363
0.666 0.330 0.625
0.328 0.173 0.363
0.844 0.172 0.885
0.666 0.836 0.625
0.328 0.173 0.887
0.171 0.835 0.625
0.844 0.172 0.365
0.672 0.835 0.125
0.831 0.665 0.870
0.328 0.655 0.887
0.672 0.337 0.125
0.155 0.828 0.125
0.168 0.334 0.125
```

Calculated values
The magnetization is 0.1 μB per cell. The energy above the most stable polymorph in this dataset is 40 meV per atom. The total energy after the MP2020 corrections is -2.119 eV per atom.

***

No. 5
Compound: Ce2MgSi4
Source: the Materials Project database
Functional: PBE-GGA
Structure: optimized geometry

Cell and atoms, written as POSCAR:
```
Ce2MgSi4
1.0
-2.749 4.859 -2.062
-2.302 0.989 5.398
16.324 6.636 2.463
Si Ce Mg
16 8 4
direct
0.986 0.715 0.972
0.783 0.082 0.164
0.264 0.035 0.528
0.467 0.668 0.336
0.332 0.130 0.664
0.918 0.217 0.836
0.285 0.014 0.028
0.743 0.014 0.028
0.508 0.736 0.472
0.264 0.493 0.528
0.965 0.736 0.472
0.918 0.620 0.836
0.332 0.533 0.664
0.380 0.082 0.164
0.870 0.668 0.336
0.986 0.258 0.972
0.797 0.044 0.594
0.449 0.203 0.406
0.801 0.547 0.094
0.797 0.551 0.594
0.453 0.199 0.906
0.957 0.203 0.406
0.294 0.547 0.094
0.453 0.707 0.906
0.125 0.875 0.250
0.125 0.375 0.250
0.125 0.875 0.750
0.625 0.875 0.750
```

Calculated values
The magnetization is 4.6 μB per cell. The total energy after the MP2020 corrections is -5.051 eV per atom.

***

No. 6
Compound: Ba3Mn
Source: the Materials Project database
Functional: PBE-GGA
Structure: optimized geometry

Cell and atoms, written as POSCAR:
```
Ba3Mn
1.0
-0.854 0.611 6.212
-1.228 5.665 2.469
-5.735 1.266 2.282
Ba Mn
3 1
direct
0.250 0.250 0.250
0.750 0.750 0.750
0.500 0.500 0.500
0.000 0.000 0.000
```

Calculated values
The magnetization is 3.9 μB per cell. The value obtained for the total DFT energy (no corrections) is -13.05 eV per cell.

***

| no. | volume (Å³ per cell) |
| --- | --- |
| 1 | 835.9 |
| 2 | 1286.2 |
| 3 | 425.3 |
| 4 | 342.7 |
| 5 | 612.3 |
| 6 | 176.8 |